No. 1
# Hg2Pt, relaxed, DFT r²SCAN
data_Hg2Pt
_chemical_formula_sum 'Hg2 Pt1'
_cell_length_a 4.791
_cell_length_b 4.791
_cell_length_c 2.946
_cell_angle_alpha 90.00
_cell_angle_beta 90.00
_cell_angle_gamma 90.00
_space_group_name_H-M_alt 'P 4/m m m'
_space_group_IT_number 123
_space_group_name_Hall '-P 4 2'
loop_
_atom_site_label
_atom_site_type_symbol
_atom_site_fract_x
_atom_site_fract_y
_atom_site_fract_z
_atom_site_occupancy
Hg1 Hg 0.000 0.500 0.000 1
Pt1 Pt 0.000 0.000 0.500 1
# E_form (eV per atom): -0.080
# Raw total energy (eV/atom): -50.155
# Total magnetization (μB per atom): 0.0000

***

No. 2
# HgPt2Se3, relaxed, DFT r²SCAN
data_HgPt2Se3
_chemical_formula_sum 'Hg2 Pt4 Se6'
_cell_length_a 7.4236
_cell_length_b 7.4236
_cell_length_c 5.4447
_cell_angle_alpha 90.00
_cell_angle_beta 90.00
_cell_angle_gamma 120.00
_space_group_name_H-M_alt 'P -3 m 1'
_space_group_IT_number 164
_space_group_name_Hall '-P 3 2"'
loop_
_atom_site_label
_atom_site_type_symbol
_atom_site_fract_x
_atom_site_fract_y
_atom_site_fract_z
_atom_site_occupancy
Hg1 Hg 0.3333 0.6667 0.1533 1
Pt1 Pt 0.0000 0.0000 0.5000 1
Pt2 Pt 0.0000 0.5000 0.5000 1
Se1 Se 0.1721 0.3442 0.7348 1
# E_form (eV per atom): -0.430
# Raw total energy (eV/atom): -32.976
# Total magnetization (μB per atom): 0.0000

***

No. 3
# Pu2SnHg, relaxed, DFT r²SCAN
data_Pu2SnHg
_chemical_formula_sum 'Pu8 Sn4 Hg4'
_cell_length_a 7.557
_cell_length_b 7.557
_cell_length_c 7.557
_cell_angle_alpha 90.00
_cell_angle_beta 90.00
_cell_angle_gamma 90.00
_space_group_name_H-M_alt 'F m -3 m'
_space_group_IT_number 225
_space_group_name_Hall '-F 4 2 3'
loop_
_atom_site_label
_atom_site_type_symbol
_atom_site_fract_x
_atom_site_fract_y
_atom_site_fract_z
_atom_site_occupancy
Pu1 Pu 0.250 0.250 0.250 1
Sn1 Sn 0.000 0.000 0.000 1
Hg1 Hg 0.000 0.000 0.500 1
# E_form (eV per atom): -0.466
# Raw total energy (eV/atom): -62.173
# Total magnetization (μB per atom): 3.0033